1.
# r2SCAN Ti2CuRe, relaxed
# space group: No. 225
# calculated total energy: -22.5898 eV/atom
# energy of formation from the pure elements: -118 kJ/mol of formula units
# crystal system: cubic
data_Ti2CuRe
_space_group_name_H-M_alt 'P 1'
_space_group_IT_number 1
_cell_length_a 4.361
_cell_length_b 4.361
_cell_length_c 4.361
_cell_angle_alpha 60.00
_cell_angle_beta 60.00
_cell_angle_gamma 60.00
loop_
_space_group_symop_operation_xyz
'x,y,z'
loop_
_atom_site_label
_atom_site_type_symbol
_atom_site_fract_x
_atom_site_fract_y
_atom_site_fract_z
_atom_site_occupancy
Ti1 Ti 0.750 0.750 0.750 1
Ti2 Ti 0.250 0.250 0.250 1
Re1 Re 0.000 0.000 0.000 1
Cu1 Cu 0.500 0.500 0.500 1


2.
# r2SCAN Cu3Rh, relaxed
# space group: No. 139
# calculated total energy: -14.1303 eV/atom
# energy of formation from the pure elements: 15 kJ/mol of formula units
# crystal system: tetragonal
data_Cu3Rh
_space_group_name_H-M_alt 'P 1'
_space_group_IT_number 1
_cell_length_a 4.440
_cell_length_b 4.440
_cell_length_c 4.440
_cell_angle_alpha 131.11
_cell_angle_beta 131.11
_cell_angle_gamma 71.63
loop_
_space_group_symop_operation_xyz
'x,y,z'
loop_
_atom_site_label
_atom_site_type_symbol
_atom_site_fract_x
_atom_site_fract_y
_atom_site_fract_z
_atom_site_occupancy
Cu1 Cu 0.250 0.750 0.500 1
Cu2 Cu 0.500 0.500 0.000 1
Cu3 Cu 0.750 0.250 0.500 1
Rh1 Rh 0.000 0.000 0.000 1


3.
# r2SCAN Cu3Rh, relaxed
# space group: No. 194
# calculated total energy: -14.1235 eV/atom
# energy of formation from the pure elements: 18 kJ/mol of formula units
# crystal system: hexagonal
data_Cu3Rh
_space_group_name_H-M_alt 'P 1'
_space_group_IT_number 1
_cell_length_a 5.179
_cell_length_b 5.179
_cell_length_c 4.185
_cell_angle_alpha 90.00
_cell_angle_beta 90.00
_cell_angle_gamma 120.00
loop_
_space_group_symop_operation_xyz
'x,y,z'
loop_
_atom_site_label
_atom_site_type_symbol
_atom_site_fract_x
_atom_site_fract_y
_atom_site_fract_z
_atom_site_occupancy
Rh1 Rh 0.333 0.667 0.750 1
Cu1 Cu 0.836 0.672 0.750 1
Cu2 Cu 0.672 0.836 0.250 1
Cu3 Cu 0.836 0.164 0.750 1
Cu4 Cu 0.164 0.328 0.250 1
Rh2 Rh 0.667 0.333 0.250 1
Cu5 Cu 0.328 0.164 0.750 1
Cu6 Cu 0.164 0.836 0.250 1


4.
# r2SCAN CuSbRh2, relaxed
# space group: No. 225
# calculated total energy: -21.5018 eV/atom
# energy of formation from the pure elements: -114 kJ/mol of formula units
# crystal system: cubic
data_CuSbRh2
_space_group_name_H-M_alt 'P 1'
_space_group_IT_number 1
_cell_length_a 4.358
_cell_length_b 4.358
_cell_length_c 4.358
_cell_angle_alpha 60.00
_cell_angle_beta 60.00
_cell_angle_gamma 60.00
loop_
_space_group_symop_operation_xyz
'x,y,z'
loop_
_atom_site_label
_atom_site_type_symbol
_atom_site_fract_x
_atom_site_fract_y
_atom_site_fract_z
_atom_site_occupancy
Rh1 Rh 0.500 0.500 0.500 1
Cu1 Cu 0.250 0.250 0.250 1
Rh2 Rh 0.000 0.000 0.000 1
Sb1 Sb 0.750 0.750 0.750 1


5.
# r2SCAN CuSiRh2, relaxed
# space group: No. 225
# calculated total energy: -17.5407 eV/atom
# energy of formation from the pure elements: -219 kJ/mol of formula units
# crystal system: cubic
data_CuSiRh2
_space_group_name_H-M_alt 'P 1'
_space_group_IT_number 1
_cell_length_a 4.132
_cell_length_b 4.132
_cell_length_c 4.132
_cell_angle_alpha 60.00
_cell_angle_beta 60.00
_cell_angle_gamma 60.00
loop_
_space_group_symop_operation_xyz
'x,y,z'
loop_
_atom_site_label
_atom_site_type_symbol
_atom_site_fract_x
_atom_site_fract_y
_atom_site_fract_z
_atom_site_occupancy
Si1 Si 0.750 0.750 0.750 1
Rh1 Rh 0.500 0.500 0.500 1
Rh2 Rh 0.000 0.000 0.000 1
Cu1 Cu 0.250 0.250 0.250 1


6.
# r2SCAN Tm2CuRh, relaxed
# space group: No. 225
# calculated total energy: -26.9638 eV/atom
# energy of formation from the pure elements: -254 kJ/mol of formula units
# crystal system: cubic
data_Tm2CuRh
_space_group_name_H-M_alt 'P 1'
_space_group_IT_number 1
_cell_length_a 4.774
_cell_length_b 4.774
_cell_length_c 4.774
_cell_angle_alpha 60.00
_cell_angle_beta 60.00
_cell_angle_gamma 60.00
loop_
_space_group_symop_operation_xyz
'x,y,z'
loop_
_atom_site_label
_atom_site_type_symbol
_atom_site_fract_x
_atom_site_fract_y
_atom_site_fract_z
_atom_site_occupancy
Rh1 Rh 0.000 0.000 0.000 1
Cu1 Cu 0.500 0.500 0.500 1
Tm1 Tm 0.750 0.750 0.750 1
Tm2 Tm 0.250 0.250 0.250 1


7.
# r2SCAN Y2CuRh, relaxed
# space group: No. 225
# calculated total energy: -19.4550 eV/atom
# energy of formation from the pure elements: -213 kJ/mol of formula units
# crystal system: cubic
data_Y2CuRh
_space_group_name_H-M_alt 'P 1'
_space_group_IT_number 1
_cell_length_a 4.866
_cell_length_b 4.866
_cell_length_c 4.866
_cell_angle_alpha 60.00
_cell_angle_beta 60.00
_cell_angle_gamma 60.00
loop_
_space_group_symop_operation_xyz
'x,y,z'
loop_
_atom_site_label
_atom_site_type_symbol
_atom_site_fract_x
_atom_site_fract_y
_atom_site_fract_z
_atom_site_occupancy
Cu1 Cu 0.250 0.250 0.250 1
Rh1 Rh 0.750 0.750 0.750 1
Y1 Y 0.000 0.000 0.000 1
Y2 Y 0.500 0.500 0.500 1


8.
# r2SCAN Yb2CuRh, relaxed
# space group: No. 225
# calculated total energy: -27.6956 eV/atom
# energy of formation from the pure elements: -264 kJ/mol of formula units
# crystal system: cubic
data_Yb2CuRh
_space_group_name_H-M_alt 'P 1'
_space_group_IT_number 1
_cell_length_a 4.751
_cell_length_b 4.751
_cell_length_c 4.751
_cell_angle_alpha 60.00
_cell_angle_beta 60.00
_cell_angle_gamma 60.00
loop_
_space_group_symop_operation_xyz
'x,y,z'
loop_
_atom_site_label
_atom_site_type_symbol
_atom_site_fract_x
_atom_site_fract_y
_atom_site_fract_z
_atom_site_occupancy
Yb1 Yb 0.250 0.250 0.250 1
Rh1 Rh 0.000 0.000 0.000 1
Yb2 Yb 0.750 0.750 0.750 1
Cu1 Cu 0.500 0.500 0.500 1


9.
# r2SCAN Zn2CuRh, relaxed
# space group: No. 225
# calculated total energy: -13.4927 eV/atom
# energy of formation from the pure elements: -113 kJ/mol of formula units
# crystal system: cubic
data_Zn2CuRh
_space_group_name_H-M_alt 'P 1'
_space_group_IT_number 1
_cell_length_a 4.186
_cell_length_b 4.186
_cell_length_c 4.186
_cell_angle_alpha 60.00
_cell_angle_beta 60.00
_cell_angle_gamma 60.00
loop_
_space_group_symop_operation_xyz
'x,y,z'
loop_
_atom_site_label
_atom_site_type_symbol
_atom_site_fract_x
_atom_site_fract_y
_atom_site_fract_z
_atom_site_occupancy
Zn1 Zn 0.250 0.250 0.250 1
Rh1 Rh 0.000 0.000 0.000 1
Cu1 Cu 0.500 0.500 0.500 1
Zn2 Zn 0.750 0.750 0.750 1


10.
# r2SCAN Sc2CuRu, relaxed
# space group: No. 225
# calculated total energy: -15.2333 eV/atom
# energy of formation from the pure elements: -180 kJ/mol of formula units
# crystal system: cubic
data_Sc2CuRu
_space_group_name_H-M_alt 'P 1'
_space_group_IT_number 1
_cell_length_a 4.545
_cell_length_b 4.545
_cell_length_c 4.545
_cell_angle_alpha 60.00
_cell_angle_beta 60.00
_cell_angle_gamma 60.00
loop_
_space_group_symop_operation_xyz
'x,y,z'
loop_
_atom_site_label
_atom_site_type_symbol
_atom_site_fract_x
_atom_site_fract_y
_atom_site_fract_z
_atom_site_occupancy
Ru1 Ru 0.750 0.750 0.750 1
Cu1 Cu 0.250 0.250 0.250 1
Sc1 Sc 0.000 0.000 0.000 1
Sc2 Sc 0.500 0.500 0.500 1


11.
# r2SCAN Sm2CuRu, relaxed
# space group: No. 225
# calculated total energy: -24.1759 eV/atom
# energy of formation from the pure elements: -93 kJ/mol of formula units
# crystal system: cubic
data_Sm2CuRu
_space_group_name_H-M_alt 'P 1'
_space_group_IT_number 1
_cell_length_a 4.927
_cell_length_b 4.927
_cell_length_c 4.927
_cell_angle_alpha 60.00
_cell_angle_beta 60.00
_cell_angle_gamma 60.00
loop_
_space_group_symop_operation_xyz
'x,y,z'
loop_
_atom_site_label
_atom_site_type_symbol
_atom_site_fract_x
_atom_site_fract_y
_atom_site_fract_z
_atom_site_occupancy
Ru1 Ru 0.750 0.750 0.750 1
Sm1 Sm 0.500 0.500 0.500 1
Cu1 Cu 0.250 0.250 0.250 1
Sm2 Sm 0.000 0.000 0.000 1


12.
# r2SCAN Cu7S4, relaxed
# space group: No. 62
# calculated total energy: -10.0553 eV/atom
# energy of formation from the pure elements: -246 kJ/mol of formula units
# crystal system: orthorhombic
data_Cu7S4
_space_group_name_H-M_alt 'P 1'
_space_group_IT_number 1
_cell_length_a 7.831
_cell_length_b 7.882
_cell_length_c 10.782
_cell_angle_alpha 90.00
_cell_angle_beta 90.00
_cell_angle_gamma 90.00
loop_
_space_group_symop_operation_xyz
'x,y,z'
loop_
_atom_site_label
_atom_site_type_symbol
_atom_site_fract_x
_atom_site_fract_y
_atom_site_fract_z
_atom_site_occupancy
Cu1 Cu 0.515 0.750 0.160 1
S1 S 0.991 0.000 0.769 1
Cu2 Cu 0.919 0.750 0.672 1
Cu3 Cu 0.985 0.250 0.660 1
Cu4 Cu 0.842 0.479 0.059 1
S2 S 0.236 0.750 0.483 1
Cu5 Cu 0.278 0.412 0.161 1
Cu6 Cu 0.778 0.412 0.339 1
S3 S 0.764 0.250 0.517 1
Cu7 Cu 0.486 0.250 0.589 1
Cu8 Cu 0.158 0.979 0.941 1
Cu9 Cu 0.722 0.588 0.839 1
S4 S 0.491 0.000 0.731 1
Cu10 Cu 0.514 0.750 0.411 1
S5 S 0.009 0.000 0.231 1
S6 S 0.290 0.750 0.015 1
Cu11 Cu 0.342 0.021 0.441 1
Cu12 Cu 0.722 0.912 0.839 1
Cu13 Cu 0.986 0.250 0.911 1
Cu14 Cu 0.778 0.088 0.339 1
Cu15 Cu 0.842 0.021 0.059 1
Cu16 Cu 0.222 0.588 0.661 1
Cu17 Cu 0.081 0.250 0.328 1
Cu18 Cu 0.014 0.750 0.089 1
S7 S 0.210 0.250 0.515 1
Cu19 Cu 0.158 0.521 0.941 1
Cu20 Cu 0.222 0.912 0.661 1
Cu21 Cu 0.485 0.250 0.840 1
S8 S 0.736 0.750 0.017 1
Cu22 Cu 0.658 0.521 0.559 1
Cu23 Cu 0.342 0.479 0.441 1
S9 S 0.509 0.000 0.269 1
S10 S 0.991 0.500 0.769 1
S11 S 0.790 0.750 0.485 1
Cu24 Cu 0.015 0.750 0.340 1
Cu25 Cu 0.419 0.750 0.828 1
S12 S 0.009 0.500 0.231 1
S13 S 0.264 0.250 0.983 1
Cu26 Cu 0.581 0.250 0.172 1
S14 S 0.491 0.500 0.731 1
S15 S 0.710 0.250 0.985 1
Cu27 Cu 0.658 0.979 0.559 1
S16 S 0.509 0.500 0.269 1
Cu28 Cu 0.278 0.088 0.161 1